No. 1
VASP calculation (PBE with a Hubbard U) on a geometry-optimized MgFe10O16F4 structure.

The structure in POSCAR format:
```
MgFe10O16F4
1.0
0.1793 -4.9405 0.1368
-9.7623 -0.8410 -8.4266
4.5960 0.2302 -3.1880
Mg Fe O F
1 10 16 4
Cartesian
-0.1463 -2.5709 -4.3983 Mg
-7.2854 -3.2146 -9.9505 Fe
-2.9881 -2.8443 -4.3112 Fe
2.5261 -2.0226 -4.5546 Fe
-2.7139 -2.9423 -7.2256 Fe
-7.2979 -3.2749 -7.0227 Fe
-0.1799 -5.0406 -5.7357 Fe
-5.0042 -0.5548 -8.7574 Fe
0.1291 -0.1039 -2.9517 Fe
-4.7781 -5.3352 -5.6330 Fe
-9.5393 -0.9299 -8.4424 Fe
0.9831 -4.1641 -4.3257 O
-3.9743 -4.6132 -10.1798 O
-3.9216 -4.5468 -7.1756 O
1.1745 -4.0726 -1.4498 O
-3.9231 -4.4773 -4.1171 O
-1.5582 -3.4727 -5.6340 O
-6.2718 -3.9432 -5.5565 O
-6.2768 -4.0445 -8.4896 O
1.0584 -1.7316 -5.8355 O
-3.5990 -2.0872 -8.7642 O
1.3472 -1.6951 -3.0559 O
-8.1904 -2.3912 -8.4494 O
-3.6763 -1.9440 -5.8273 O
-0.8233 -0.8383 -1.4457 O
-5.9544 -1.5121 -10.2086 O
-1.0936 -0.8833 -4.1948 O
3.4644 -3.1458 -3.1560 F
-1.2852 -3.3311 -2.8780 F
-1.3238 -1.1582 -7.3302 F
-5.9727 -1.4757 -7.1660 F
```

Calculated values
Relative energy among the computed polymorphs (meV per atom): 6
Size of the total moment (μB per cell): 45.97
Symmetry: P1


No. 2
VASP calculation (PBE with a Hubbard U) on a geometry-optimized SrCoO3 structure.

The structure in POSCAR format:
```
SrCoO3
1.0
-1.2687 5.3446 -0.1159
-3.4288 -3.5869 2.3590
-0.6167 -0.0279 5.4595
Sr Co O
2 2 6
Cartesian
-3.1284 2.1940 5.1872 Sr
-2.1857 -0.4643 2.5154 Sr
-0.9427 2.6583 2.6718 Co
0.0000 0.0000 0.0000 Co
-0.4713 1.3291 1.3359 O
-1.4141 3.9875 4.0078 O
-2.4940 -0.4783 5.2452 O
-2.8201 2.2080 2.4575 O
-0.7797 1.3152 4.0657 O
-1.1057 4.0015 1.2779 O
```

Calculated values
Size of the total moment (μB per cell): 0.00
Final energy (eV per atom): -5.91


No. 3
VASP calculation (PBE with a Hubbard U) on a geometry-optimized Li3V2P3O12 structure.

The structure in POSCAR format:
```
Li3V2P3O12
1.0
8.7595 0.0000 0.0000
0.0000 8.8230 0.0000
0.0000 0.0000 12.2292
Li V P O
12 8 12 48
Cartesian
4.6482 8.6462 10.0289 Li
4.6482 0.1768 2.2003 Li
4.1113 4.5883 3.9143 Li
4.1113 4.2347 8.3149 Li
1.7263 2.8637 9.6288 Li
1.7263 5.9593 2.6004 Li
0.4625 8.6830 8.3558 Li
0.4625 0.1400 3.8734 Li
8.2971 4.2715 9.9880 Li
8.2971 4.5515 2.2412 Li
7.0332 7.2752 8.7150 Li
7.0332 1.5478 3.5142 Li
4.3497 6.9851 7.5102 V
4.3497 1.8379 4.7190 V
4.4098 2.5736 10.8336 V
4.4098 6.2494 1.3956 V
0.0720 6.9958 10.8679 V
0.0720 1.8272 1.3613 V
8.6875 2.5843 7.4759 V
8.6875 6.2387 4.7533 V
6.1764 4.4115 6.1146 P
5.6485 5.7149 10.4399 P
5.6485 3.1081 1.7893 P
3.1110 1.3034 7.9039 P
3.1110 7.5196 4.3253 P
2.5831 0.0000 0.0000 P
1.7932 4.4115 0.0000 P
1.2584 5.6964 7.9178 P
1.2584 3.1266 4.3114 P
7.5012 7.5381 1.8032 P
7.5012 1.2849 10.4260 P
6.9663 0.0000 6.1146 P
6.1299 0.9358 5.2054 O
6.1299 7.8872 7.0238 O
5.9616 1.3552 10.2443 O
5.9616 7.4678 1.9849 O
5.2388 6.0482 11.8552 O
5.2388 2.7748 0.3740 O
5.1651 4.3160 10.0124 O
5.1651 4.5070 2.2168 O
5.2569 5.2220 7.0636 O
5.2569 3.6010 5.1656 O
5.1108 6.8222 9.4528 O
5.1108 2.0008 2.7764 O
3.6487 2.4107 8.8910 O
3.6487 6.4123 3.3382 O
3.5027 0.8105 11.2802 O
3.5027 8.0125 0.9490 O
3.5944 0.0955 3.8978 O
3.5944 8.7275 8.3314 O
3.5207 1.6367 6.4886 O
3.5207 7.1863 5.7406 O
2.7979 3.0563 4.1297 O
2.7979 5.7667 8.0995 O
2.6297 3.4757 11.3200 O
2.6297 5.3473 0.9092 O
1.7256 0.9110 0.8922 O
1.7256 7.9120 11.3370 O
1.5659 1.3954 8.1013 O
1.5659 7.4276 4.1279 O
0.8315 5.9549 6.4792 O
0.8315 2.8681 5.7500 O
0.8169 4.2685 8.3950 O
0.8169 4.5545 3.8342 O
0.8604 5.1832 11.2607 O
0.8604 3.6398 0.9685 O
0.5535 6.7710 8.8175 O
0.5535 2.0520 3.4117 O
8.2061 2.3595 9.5263 O
8.2061 6.4635 2.7029 O
7.8991 0.7717 7.0831 O
7.8991 8.0513 5.1461 O
7.9427 8.6800 9.9488 O
7.9427 0.1430 2.2804 O
7.9280 1.5434 11.8646 O
7.9280 7.2796 0.3646 O
7.1937 3.0161 1.9867 O
7.1937 5.8069 10.2425 O
7.0339 3.5005 7.0068 O
7.0339 5.3225 5.2224 O
```

Calculated values
Relative energy among the computed polymorphs (meV per atom): 4
Size of the total moment (μB per cell): 16.00
Symmetry: P2_12_12


No. 4
VASP calculation (PBE with a Hubbard U) on a geometry-optimized Li9Mn2Co5O16 structure.

The structure in POSCAR format:
```
Li9Mn2Co5O16
1.0
5.7146 0.0000 0.0000
2.8276 5.1965 0.0000
2.7713 1.2889 9.5662
Li Mn Co O
9 2 5 16
Cartesian
7.0928 4.2462 2.5155 Li
7.0749 2.2909 7.1216 Li
5.6846 1.6357 2.4336 Li
8.4933 4.8535 7.1533 Li
2.8202 1.6319 2.4128 Li
5.6289 4.8497 7.1326 Li
4.2387 4.1945 2.4446 Li
4.2208 2.2392 7.0506 Li
4.2430 0.6445 4.7831 Li
0.0000 0.0000 0.0000 Mn
1.4138 2.5983 0.0000 Mn
2.7995 3.2427 4.7831 Co
1.3857 0.6445 4.7831 Co
4.2711 2.5983 0.0000 Co
2.8573 0.0000 0.0000 Co
5.6568 3.2427 4.7831 Co
4.2371 0.6906 1.1627 O
7.0817 3.9455 5.8248 O
5.6641 3.3966 1.0776 O
5.7472 1.6044 5.7416 O
2.8671 3.2802 1.1089 O
2.7197 1.6109 5.7417 O
1.3490 0.7190 1.1843 O
4.2249 3.9181 5.9124 O
7.0886 2.5673 3.6537 O
9.9645 5.7665 8.3819 O
8.5939 4.8745 3.8245 O
8.4464 3.2052 8.4572 O
5.5664 4.8811 3.8245 O
5.6495 3.0889 8.4886 O
4.2318 2.5400 3.7414 O
7.0764 5.7948 8.4035 O
```

Calculated values
Relative energy among the computed polymorphs (meV per atom): 48
Size of the total moment (μB per cell): 12.00
Symmetry: P-1


No. 5
VASP calculation (PBE with a Hubbard U) on a geometry-optimized MnZn4I10O30 structure.

The structure in POSCAR format:
```
MnZn4I10O30
1.0
5.3050 0.0000 0.0000
-0.0110 9.5741 0.0000
-0.0227 -0.2242 27.9445
Mn Zn I O
2 8 20 60
Cartesian
4.4506 2.2973 18.2622 Mn
4.4596 2.3426 12.6588 Mn
1.7434 6.9274 26.4590 Zn
1.7346 6.9720 20.8757 Zn
1.7331 7.0157 15.2784 Zn
1.7509 7.0602 9.6837 Zn
1.7617 7.1064 4.1027 Zn
4.4065 2.2458 23.8462 Zn
4.4224 2.3823 7.0671 Zn
4.4218 2.4231 1.4856 Zn
3.9108 5.5550 23.6450 I
3.9023 5.6410 18.0591 I
3.9058 5.6851 12.4646 I
3.9236 5.6893 6.8725 I
3.9265 5.7331 1.2857 I
1.2561 3.6182 26.6601 I
1.2794 3.6737 21.1069 I
1.2985 3.7308 15.4843 I
1.2854 3.7639 9.8590 I
1.2747 3.7974 4.3036 I
1.3716 8.7409 23.6885 I
1.3887 8.7612 18.0965 I
1.3951 8.8069 12.4978 I
1.3861 8.8769 6.9117 I
1.3914 8.9230 1.3278 I
4.0333 0.4274 26.6179 I
4.0266 0.4468 21.0549 I
4.0147 0.4794 15.4332 I
4.0302 0.5495 9.8178 I
4.0508 0.6072 4.2605 I
2.8955 6.7367 24.6402 O
2.8906 6.8340 19.0490 O
2.8994 6.8791 13.4556 O
2.9138 6.8709 7.8686 O
2.9156 6.9152 2.2833 O
0.2488 2.4336 25.6620 O
0.2838 2.4832 20.1156 O
0.2865 2.5329 14.5179 O
0.2601 2.5727 8.8875 O
0.2670 2.6136 3.3051 O
0.2675 0.5674 23.2247 O
0.2921 0.5864 17.6263 O
0.3008 0.6323 12.0329 O
0.2846 0.7036 6.4540 O
0.2871 0.7480 0.8683 O
2.9087 8.6016 27.0769 O
2.9098 8.6206 21.5313 O
2.9152 8.6441 15.9242 O
2.9234 8.7146 10.2913 O
2.9269 8.7812 4.7207 O
3.2851 3.9551 24.3071 O
3.2646 4.0560 18.7368 O
3.2704 4.0996 13.1467 O
3.2997 4.0889 7.5391 O
3.3046 4.1328 1.9510 O
0.6306 5.2165 25.9937 O
0.6414 5.2588 20.4170 O
0.6463 5.3141 14.7994 O
0.6445 5.3608 9.1988 O
0.6490 5.3956 3.6379 O
0.6003 7.5021 22.5588 O
0.6075 7.5219 16.9712 O
0.6154 7.5655 11.3742 O
0.6175 7.6354 5.7836 O
0.6249 7.6820 0.1974 O
3.2624 1.6672 27.7469 O
3.2651 1.7042 22.1709 O
3.2387 1.7319 16.5368 O
3.2453 1.7866 10.9314 O
3.2806 1.8486 5.3870 O
2.9533 5.5467 27.6478 O
2.9590 5.5904 22.0618 O
2.9651 5.6515 16.4680 O
2.9677 5.6968 10.8748 O
2.9709 5.7253 5.2908 O
0.3078 3.6407 22.6790 O
0.3474 3.7050 17.0645 O
0.3520 3.7332 11.4481 O
0.3215 3.7589 5.8852 O
0.3256 3.8034 0.2965 O
0.5339 8.2083 25.2431 O
0.5385 8.2471 19.6534 O
0.5441 8.2969 14.0577 O
0.5483 8.3476 8.4696 O
0.5557 8.3894 2.8838 O
3.1984 0.9607 25.0611 O
3.1800 0.9677 19.5027 O
3.1798 0.9895 13.8705 O
3.2068 1.0737 8.2511 O
3.2162 1.1393 2.7032 O
```

Calculated values
Size of the total moment (μB per cell): 0.01
Final energy (eV per atom): -4.38
Symmetry: P1


No. 6
VASP calculation (PBE with a Hubbard U) on a geometry-optimized Mg3Mn5B4O16 structure.

The structure in POSCAR format:
```
Mg3Mn5B4O16
1.0
3.2415 0.0000 0.0000
-0.0294 -9.3943 0.0000
-0.6894 0.0010 -9.4750
Mg Mn B O
3 5 4 16
Cartesian
2.1309 -1.7157 -3.7651 Mg
0.3904 -7.6735 -5.7065 Mg
1.7759 -2.9747 -8.5079 Mg
0.7369 -6.4401 -0.9698 Mn
0.7248 -0.6123 -1.1246 Mn
2.1660 -5.2841 -3.6353 Mn
0.3602 -4.0885 -5.8637 Mn
1.8121 -8.8194 -8.3120 Mn
0.7660 -3.4481 -1.5520 B
2.1011 -8.1699 -3.2218 B
0.4206 -1.2457 -6.2734 B
1.7628 -5.9315 -7.8891 B
0.6642 -8.3393 -0.1171 O
0.8330 -3.4238 -0.1990 O
0.6187 -2.2615 -2.2896 O
0.8239 -4.6662 -2.2541 O
2.0562 -9.3768 -2.5162 O
2.2548 -6.9580 -2.5120 O
2.0211 -8.1405 -4.5735 O
2.1686 -3.6255 -4.6223 O
0.3614 -5.7525 -4.8728 O
0.4994 -1.2803 -4.9230 O
0.2703 -2.4344 -7.0151 O
0.4671 -0.0177 -6.9580 O
1.7172 -4.7018 -7.2189 O
1.9034 -7.1331 -7.1784 O
1.6873 -5.9313 -9.2412 O
1.8235 -1.0606 -9.3379 O
```

Calculated values
Size of the total moment (μB per cell): 21.00
Final energy (eV per atom): -7.49
Symmetry: P1


No. 7
VASP calculation (PBE with a Hubbard U) on a geometry-optimized Li5Fe2P2C2O14 structure.

The structure in POSCAR format:
```
Li5Fe2P2C2O14
1.0
3.2883 -5.0056 2.5005
-3.2706 -5.4105 -6.9800
8.6996 4.8545 -1.6470
Li Fe P C O
10 4 4 4 28
Cartesian
4.3132 0.2876 -0.8376 Li
8.6061 2.7112 -1.4928 Li
1.5701 -0.3847 -2.2854 Li
7.3085 -0.2065 -1.9291 Li
5.7566 2.1655 -3.1093 Li
1.4089 -5.3551 -4.1974 Li
2.9608 -7.7271 -3.0172 Li
7.1473 -5.1769 -3.8411 Li
0.1113 -8.2728 -4.6338 Li
4.4042 -5.8492 -5.2890 Li
1.9788 -5.1737 -0.5611 Fe
6.1758 -2.8383 -1.3608 Fe
2.5416 -2.7233 -4.7657 Fe
6.7386 -0.3879 -5.5654 Fe
0.0095 -3.1842 -2.3941 P
4.4209 -0.6506 -3.2446 P
4.2965 -4.9110 -2.8820 P
8.7079 -2.3774 -3.7324 P
5.5761 -2.1629 1.0717 C
9.9088 0.1446 0.1649 C
-1.1914 -5.7062 -6.2914 C
3.1414 -3.3987 -7.1982 C
2.2881 -4.1576 1.3105 O
6.6245 -1.5967 0.5490 O
2.4708 -0.4537 -0.5012 O
4.9292 -3.0494 0.3856 O
6.8369 1.6926 -1.4121 O
9.2439 -0.6139 -0.6893 O
-0.2551 -1.6816 -2.0774 O
0.7984 -3.6746 -1.1470 O
4.2062 0.8568 -2.9127 O
5.3718 -1.1072 -2.1031 O
3.6462 -4.7453 -1.4757 O
3.0709 -1.3887 -3.2324 O
7.9857 -2.1519 -2.4041 O
7.3364 0.8922 -4.0943 O
1.3810 -6.4538 -2.0322 O
0.7318 -3.4096 -3.7224 O
5.6465 -4.1729 -2.8941 O
5.0712 -0.8163 -4.6508 O
3.3456 -4.4544 -4.0234 O
4.5112 -6.4184 -3.2138 O
8.9725 -3.8800 -4.0492 O
7.9190 -1.8869 -4.9795 O
-0.5265 -4.9477 -5.4373 O
1.8805 -7.2541 -4.7144 O
3.7883 -2.5122 -6.5122 O
6.2466 -5.1079 -5.6253 O
2.0929 -3.9648 -6.6755 O
6.4293 -1.4040 -7.4370 O
```

Calculated values
Relative energy among the computed polymorphs (meV per atom): 5
Size of the total moment (μB per cell): 18.00
Symmetry: P-1


No. 8
VASP calculation (PBE with a Hubbard U) on a geometry-optimized SrEuZrMnO6 structure.

The structure in POSCAR format:
```
SrEuZrMnO6
1.0
0.0000 -4.0273 -4.0273
4.0273 0.0000 -4.0273
4.0273 -4.0273 0.0000
Sr Eu Zr Mn O
1 1 1 1 6
Cartesian
6.0409 -6.0409 -6.0409 Sr
2.0136 -2.0136 -2.0136 Eu
4.0273 -4.0273 -4.0273 Zr
0.0000 0.0000 0.0000 Mn
1.9408 -4.0273 -4.0273 O
6.1138 -4.0273 -4.0273 O
4.0273 -6.1138 -4.0273 O
4.0273 -1.9408 -4.0273 O
4.0273 -4.0273 -6.1138 O
4.0273 -4.0273 -1.9408 O
```

Calculated values
Size of the total moment (μB per cell): 10.00
Final energy (eV per atom): -8.43
Symmetry: F-43m